The following is a DFT calculation (PBE-GGA) of crystalline Ba2GaSbS5 at its relaxed geometry.

Summary:
V = 28.08 Å³ per atom
E = -4.802 eV/atom
energy of formation from the pure elements = -1562 meV/atom

```
data_Ba2GaSbS5
_chemical_formula_sum 'Ba8 Ga4 Sb4 S20'
_cell_length_a 12.352
_cell_length_b 8.972
_cell_length_c 9.124
_cell_angle_alpha 90.00
_cell_angle_beta 90.00
_cell_angle_gamma 90.00
_space_group_name_H-M_alt 'P n m a'
_space_group_IT_number 62
_space_group_name_Hall '-P 2ac 2n'
loop_
_atom_site_label
_atom_site_type_symbol
_atom_site_fract_x
_atom_site_fract_y
_atom_site_fract_z
Ba1 Ba 0.177 0.007 0.122
Ga1 Ga 0.095 0.750 0.829
Sb1 Sb 0.023 0.750 0.476
S1 S 0.008 0.250 0.969
S2 S 0.055 0.552 0.673
S3 S 0.211 0.750 0.383
S4 S 0.227 0.250 0.383
```